Compound: Ce2Ni7
Source: the Materials Project
Functional: PBE
Structure: optimized geometry

abc: 4.9091 4.9091 24.4625
angles: 90.00 90.00 120.00
Space group P6_3/mmc (No. 194)
Asymmetric unit:
Ce: 0.3333 0.6667 0.0307 x4
Ce: 0.3333 0.6667 0.1747 x4
Ni: 0.0000 0.0000 0.0000 x2
Ni: 0.0000 0.0000 0.1676 x4
Ni: 0.1663 0.3327 0.7500 x6
Ni: 0.1669 0.3339 0.5851 x12
Ni: 0.3333 0.6667 0.6674 x4

Total energy ... -6.1917 eV per atom
M_tot ... 0.1 μB per formula unit
Calculated formation energy ... -0.3776 eV/atom

=====

Compound: Ce7Ni3
Source: the Materials Project
Functional: PBE
Structure: optimized geometry

abc: 9.4809 16.3792 5.9881
angles: 90.00 90.00 90.00
Space group Cmc2_1 (No. 36)
Asymmetric unit:
Ce: 0.0000 0.0410 0.0000 x4
Ce: 0.0000 0.1667 0.5553 x4
Ce: 0.0000 0.3709 0.7286 x4
Ce: 0.1883 0.2295 0.9998 x8
Ce: 0.1940 0.4355 0.2276 x8
Ni: 0.0000 0.3124 0.2727 x4
Ni: 0.2187 0.0939 0.2728 x8

Total energy ... -6.0579 eV per atom
M_tot ... 1.2 μB per formula unit
Calculated formation energy ... -0.1707 eV/atom

=====

Compound: CeNi
Source: the Materials Project
Functional: PBE
Structure: optimized geometry

abc: 3.6014 10.7193 4.2300
angles: 90.00 90.00 90.00
Space group Cmcm (No. 63)
Asymmetric unit:
Ce: 0.0000 0.1373 0.2500 x4
Ni: 0.0000 0.4200 0.2500 x4

Total energy ... -6.1710 eV per atom
Calculated formation energy ... -0.3144 eV/atom

=====

Compound: CeNi5
Source: the Materials Project
Functional: PBE
Structure: optimized geometry

abc: 4.8692 4.8692 3.9888
angles: 90.00 90.00 120.00
Space group P6/mmm (No. 191)
Asymmetric unit:
Ce: 0.0000 0.0000 0.0000 x1
Ni: 0.0000 0.5000 0.5000 x3
Ni: 0.3333 0.6667 0.0000 x2

Total energy ... -6.1504 eV per atom
Calculated formation energy ... -0.3448 eV/atom

=====

Compound: CeNi2
Source: the Materials Project
Functional: PBE
Structure: optimized geometry

abc: 7.1741 7.1741 7.1741
angles: 90.00 90.00 90.00
Space group Fd-3m (No. 227, origin choice 2)
Asymmetric unit:
Ce: 0.1250 0.1250 0.1250 x8
Ni: 0.0000 0.0000 0.5000 x16

Total energy ... -6.2085 eV per atom
Calculated formation energy ... -0.3774 eV/atom

=====

Compound: Ce4Ni
Source: the Materials Project
Functional: PBE
Structure: optimized geometry

abc: 10.2400 10.2400 10.2400
angles: 90.00 90.00 90.00
Space group Fd-3m (No. 227, origin choice 2)
Asymmetric unit:
Ce: 0.0171 0.0171 0.2329 x32
Ni: 0.1250 0.1250 0.6250 x8

Total energy ... -5.6178 eV per atom
M_tot ... 0.2 μB per formula unit
Calculated formation energy ... 0.2847 eV/atom